# 1
14
Lattice="6.4995 0.0528 3.8413 2.2165 6.1068 3.8410 0.0760 0.0533 7.5510" Properties=species:S:1:pos:R:3 comment="SmMg2Mn3S8 PBE-GGA relaxed" total_magnetization_mub_per_cell=12.00 e_form_mev_per_atom=-1260 pbc="T T T"
Sm 4.3961 3.1065 7.6165
Mg 7.6858 5.4312 13.3170
Mg 1.1062 0.7818 1.9163
Mn 4.3576 3.0798 3.8410
Mn 1.1463 3.0801 5.6960
Mn 3.2881 0.0532 5.6963
S 6.5093 4.5995 11.2775
S 2.1605 1.5273 7.3044
S 3.1881 4.4314 5.5240
S 5.2435 1.5274 5.5238
S 5.6038 1.7817 9.7092
S 3.5485 4.6856 9.7092
S 2.2826 1.6133 3.9558
S 6.6317 4.6856 7.9289

---

# 2
14
Lattice="6.8752 0.0110 3.9607 2.2897 6.3338 3.9818 -0.0111 0.0184 7.9406" Properties=species:S:1:pos:R:3 comment="Sm3Mg2MnS8 PBE-GGA relaxed" total_magnetization_mub_per_cell=4.00 e_form_mev_per_atom=-1792 pbc="T T T"
Sm 4.5770 3.1817 7.9414
Sm 4.5714 3.1907 11.9117
Sm 1.1394 3.1761 5.9612
Mg 8.0107 5.5714 13.8999
Mg 1.1430 0.7918 1.9831
Mn 3.4321 0.0148 5.9507
S 6.7771 4.9163 11.7588
S 2.3626 1.4726 7.8086
S 3.4312 4.6979 5.9563
S 5.5595 1.4585 5.9541
S 5.7226 1.6653 9.9265
S 3.5944 4.9047 9.9289
S 2.3766 1.4468 4.1243
S 6.7914 4.8906 8.0744

---

# 3
14
Lattice="6.2341 -0.0002 3.5992 2.0182 6.0473 3.7028 -0.1007 0.0554 7.3733" Properties=species:S:1:pos:R:3 comment="MgTiMnS4 PBE-GGA relaxed" total_magnetization_mub_per_cell=10.00 e_form_mev_per_atom=-1352 pbc="T T T"
Mg 7.1532 5.3128 12.8074
Mg 0.9987 0.7894 1.8673
Ti 4.0764 3.0516 7.3372
Ti 0.9587 3.0511 5.5370
Mn 4.1256 3.0230 3.6508
Mn 3.0663 0.0287 5.4893
S 6.0466 4.4780 10.8076
S 2.0543 1.6475 7.2394
S 3.0250 4.3920 5.5577
S 4.9487 1.6234 5.5090
S 5.1267 1.7103 9.1168
S 3.2031 4.4790 9.1658
S 2.1053 1.6231 3.8684
S 6.0974 4.4556 7.4357